(1)
A plane-wave DFT calculation with PBE was carried out for SrIn3 after structural relaxation.

- Symmetry: P6_3/mmc
- Energy of formation from the pure elements: -0.306 eV/atom

Cell: 5.2563 7.1671 7.1671 Å, 120.00 90.00 90.00°
Closest atoms and distances in Å follow each position.
Positions (direct):
1 In 0.2500 0.6898 0.8449  6 In 3.26-3.33, 4 Sr 3.44-3.59
2 In 0.7500 0.8449 0.1551  6 In 3.26-3.33, 4 Sr 3.44-3.59
3 In 0.2500 0.1551 0.8449  6 In 3.26-3.33, 4 Sr 3.44-3.59
4 In 0.7500 0.8449 0.6898  6 In 3.26-3.33, 4 Sr 3.44-3.59
5 In 0.7500 0.3102 0.1551  6 In 3.26-3.33, 4 Sr 3.44-3.59
6 In 0.2500 0.1551 0.3102  6 In 3.26-3.33, 4 Sr 3.44-3.59
7 Sr 0.7500 0.3333 0.6667  12 In 3.44-3.59
8 Sr 0.2500 0.6667 0.3333  12 In 3.44-3.59

=====

(2)
A plane-wave DFT calculation with PBE was carried out for HoTmCd2 after structural relaxation.

- Symmetry: Fm-3m
- Energy of formation from the pure elements: -0.309 eV/atom

Cell: 5.2631 5.2631 5.2631 Å, 60.00 60.00 60.00°
Closest atoms and distances in Å follow each position.
Positions (direct):
1 Cd 0.2500 0.2500 0.2500  4 Ho 3.22, 4 Tm 3.22
2 Cd 0.7500 0.7500 0.7500  4 Tm 3.22, 4 Ho 3.22
3 Ho 0.5000 0.5000 0.5000  8 Cd 3.22
4 Tm 0.0000 0.0000 0.0000  8 Cd 3.22

=====

(3)
A plane-wave DFT calculation with PBE was carried out for CaHo2S4 after structural relaxation.

- E above lowest polymorph: 0 meV per atom
- Symmetry: Pnma
- Energy of formation from the pure elements: -2.386 eV/atom

Cell: 3.8858 12.9650 13.1434 Å, 90.00 90.00 90.00°
Closest atoms and distances in Å follow each position.
Positions (direct):
1 S 0.7500 0.0303 0.8824  2 Ho 2.70, 3 Ca 2.89-2.95
2 S 0.2500 0.2169 0.2376  3 Ho 2.74-2.75, 2 Ca 3.02
3 S 0.2500 0.9697 0.1176  2 Ho 2.70, 3 Ca 2.89-2.95
4 S 0.2500 0.5335 0.8822  4 Ho 2.70-2.81
5 S 0.7500 0.7831 0.7624  3 Ho 2.74-2.75, 2 Ca 3.02
6 S 0.7500 0.2422 0.4738  3 Ho 2.72-2.73, 2 Ca 2.92
7 S 0.7500 0.2831 0.7376  3 Ho 2.74-2.75, 2 Ca 3.02
8 S 0.2500 0.7169 0.2624  3 Ho 2.74-2.75, 2 Ca 3.02
9 S 0.2500 0.0335 0.6178  4 Ho 2.70-2.81
10 S 0.2500 0.7578 0.5262  3 Ho 2.72-2.73, 2 Ca 2.92
11 S 0.7500 0.4665 0.1178  4 Ho 2.70-2.81
12 S 0.7500 0.7422 0.0262  3 Ho 2.72-2.73, 2 Ca 2.92
13 S 0.2500 0.4697 0.3824  2 Ho 2.70, 3 Ca 2.89-2.95
14 S 0.7500 0.9665 0.3822  4 Ho 2.70-2.81
15 S 0.2500 0.2578 0.9738  3 Ho 2.72-2.73, 2 Ca 2.92
16 S 0.7500 0.5303 0.6176  2 Ho 2.70, 3 Ca 2.89-2.95
17 Ca 0.7500 0.6312 0.4165  7 S 2.89-3.02
18 Ca 0.2500 0.8688 0.9165  7 S 2.89-3.02
19 Ca 0.7500 0.1312 0.0835  7 S 2.89-3.02
20 Ca 0.2500 0.3688 0.5835  7 S 2.89-3.02
21 Ho 0.7500 0.8928 0.5833  6 S 2.70-2.81
22 Ho 0.2500 0.6467 0.7027  6 S 2.70-2.78
23 Ho 0.2500 0.1467 0.7973  6 S 2.70-2.78
24 Ho 0.7500 0.8533 0.2027  6 S 2.70-2.78
25 Ho 0.7500 0.3928 0.9167  6 S 2.70-2.81
26 Ho 0.2500 0.6072 0.0833  6 S 2.70-2.81
27 Ho 0.7500 0.3533 0.2973  6 S 2.70-2.78
28 Ho 0.2500 0.1072 0.4167  6 S 2.70-2.81

=====

(4)
A plane-wave DFT calculation with PBE was carried out for HfMnGe after structural relaxation.

- Symmetry: P-62m
- Energy of formation from the pure elements: -0.535 eV/atom

Cell: 6.7038 6.7038 3.7831 Å, 90.00 90.00 120.00°
Closest atoms and distances in Å follow each position.
Positions (direct):
1 Ge 0.3333 0.6667 0.0000  3 Mn 2.59, 6 Hf 2.77
2 Ge 0.0000 0.0000 0.5000  6 Mn 2.50, 3 Hf 2.77
3 Ge 0.6667 0.3333 0.0000  3 Mn 2.59, 6 Hf 2.77
4 Hf 0.0000 0.4127 0.5000  5 Ge 2.77, 6 Mn 2.98-3.06
5 Hf 0.5873 0.5873 0.5000  5 Ge 2.77, 6 Mn 2.98-3.06
6 Hf 0.4127 0.0000 0.5000  5 Ge 2.77, 6 Mn 2.98-3.06
7 Mn 0.7559 0.0000 0.0000  4 Ge 2.50-2.59
8 Mn 0.2441 0.2441 0.0000  4 Ge 2.50-2.59
9 Mn 0.0000 0.7559 0.0000  4 Ge 2.50-2.59

=====

(5)
A plane-wave DFT calculation with PBE was carried out for UInNi2 after structural relaxation.

- Total magnetization: 1.3 μB/f.u.
- Symmetry: Fm-3m
- Energy of formation from the pure elements: -0.098 eV/atom

Cell: 4.5828 4.5828 4.5828 Å, 60.00 60.00 60.00°
Closest atoms and distances in Å follow each position.
Positions (direct):
1 U 0.0000 0.0000 0.0000  8 Ni 2.81
2 In 0.5000 0.5000 0.5000  8 Ni 2.81
3 Ni 0.2500 0.2500 0.2500  4 In 2.81, 4 U 2.81
4 Ni 0.7500 0.7500 0.7500  4 In 2.81, 4 U 2.81

=====

(6)
A plane-wave DFT calculation with PBE was carried out for BaSrNdTlCu2O7 after structural relaxation.

- Total magnetization: 0.0 μB/f.u.
- Symmetry: Pm
- Energy of formation from the pure elements: -2.201 eV/atom

Cell: 3.8882 3.9180 12.6276 Å, 89.82 90.00 90.00°
Closest atoms and distances in Å follow each position.
Positions (direct):
1 Nd 0.5000 0.4966 0.4954  8 O 2.48-2.50
2 Sr 0.5000 0.4834 0.2075  3 O 2.49-2.73
3 O 0.5000 0.9948 0.6171  2 Cu 1.95
4 O 0.0000 0.4947 0.6178  2 Cu 1.97
5 O 0.5000 0.5699 0.0120  2 Tl 2.37, 1 Sr 2.49
6 O 0.5000 0.9964 0.3728  2 Cu 1.96
7 O 0.0000 0.9940 0.8391  1 Tl 2.15
8 O 0.0000 0.0057 0.1751  1 Tl 2.14, 1 Cu 2.26
9 O 0.0000 0.4952 0.3714  2 Cu 1.97
10 Tl 0.0000 0.9138 0.0080  4 O 2.14-2.37
11 Ba 0.5000 0.4842 0.7977  9 O 2.73-3.03
12 Cu 0.0000 0.9957 0.3544  4 O 1.96-1.97
13 Cu 0.0000 0.9946 0.6317  4 O 1.95-1.97

=====

(7)
A plane-wave DFT calculation with PBE was carried out for Lu2MnSe4 after structural relaxation.

- Symmetry: Fd-3m
- Energy of formation from the pure elements: -1.709 eV/atom

Cell: 8.0898 8.0898 8.0898 Å, 60.00 60.00 60.00°
Closest atoms and distances in Å follow each position.
Positions (direct):
1 Se 0.8625 0.3792 0.3792  1 Mn 2.56, 3 Lu 2.81
2 Se 0.3792 0.3792 0.8625  1 Mn 2.56, 3 Lu 2.81
3 Se 0.8708 0.8708 0.3875  1 Mn 2.56, 3 Lu 2.81
4 Se 0.3875 0.8708 0.8708  1 Mn 2.56, 3 Lu 2.81
5 Se 0.8708 0.8708 0.8708  1 Mn 2.56, 3 Lu 2.81
6 Se 0.3792 0.3792 0.3792  1 Mn 2.56, 3 Lu 2.81
7 Se 0.8708 0.3875 0.8708  1 Mn 2.56, 3 Lu 2.81
8 Se 0.3792 0.8625 0.3792  1 Mn 2.56, 3 Lu 2.81
9 Lu 0.6250 0.6250 0.6250  6 Se 2.81
10 Lu 0.1250 0.6250 0.6250  6 Se 2.81
11 Lu 0.6250 0.6250 0.1250  6 Se 2.81
12 Lu 0.6250 0.1250 0.6250  6 Se 2.81
13 Mn 0.2500 0.2500 0.2500  4 Se 2.56
14 Mn 0.0000 0.0000 0.0000  4 Se 2.56

=====

(8)
A plane-wave DFT calculation with PBE was carried out for Al2H15SClO13 after structural relaxation.

- Total magnetization: 0.0 μB/f.u.
- Symmetry: C2/c
- Energy of formation from the pure elements: -1.672 eV/atom

Cell: 7.5661 9.7429 10.1913 Å, 117.50 110.51 92.50°
Closest atoms and distances in Å follow each position.
Positions (direct):
1 H 0.0665 0.8675 0.1342  1 O 1.01
2 H 0.1673 0.1743 0.9397  1 O 0.99
3 H 0.1709 0.7267 0.5961  1 O 0.97
4 H 0.5561 0.5547 0.3138  1 O 1.00
5 H 0.3752 0.0618 0.7378  1 O 1.00
6 H 0.8291 0.2733 0.4039  1 O 0.97
7 H 0.0748 0.1306 0.4039  1 O 0.97
8 H 0.6248 0.9382 0.2622  1 O 1.00
9 H 0.3116 0.3597 0.4954  1 O 0.99
10 H 0.1482 0.4648 0.2203  1 O 0.99
11 H 0.7423 0.2409 0.6862  1 O 1.00
12 H 0.4323 0.7333 0.8658  1 O 1.01
13 H 0.8211 0.5711 0.1421  1 O 0.98
14 H 0.6884 0.6403 0.5046  1 O 0.99
15 H 0.5677 0.2667 0.1342  1 O 1.01
16 H 0.8626 0.6760 0.7378  1 O 1.00
17 H 0.1374 0.3240 0.2622  1 O 1.00
18 H 0.2724 0.7654 0.9397  1 O 0.99
19 H 0.6838 0.1357 0.4954  1 O 0.99
20 H 0.8518 0.5352 0.7797  1 O 0.99
21 H 0.3162 0.8643 0.5046  1 O 0.99
22 H 0.5721 0.7555 0.2203  1 O 0.99
23 H 0.4439 0.4453 0.6862  1 O 1.00
24 H 0.2577 0.7591 0.3138  1 O 1.00
25 H 0.9252 0.8694 0.5961  1 O 0.97
26 H 0.1789 0.4289 0.8579  1 O 0.98
27 H 0.9335 0.1325 0.8658  1 O 1.01
28 H 0.4279 0.2445 0.7797  1 O 0.99
29 H 0.7276 0.2346 0.0603  1 O 0.99
30 H 0.8327 0.8257 0.0603  1 O 0.99
31 O 0.3625 0.1683 0.1008  1 S 1.49, 1 H 1.63
32 O 0.8808 0.6308 0.2617  1 H 0.98
33 O 0.6921 0.3185 0.1422  2 H 0.99-1.01
34 O 0.6773 0.8430 0.2507  2 H 0.99-1.00
35 O 0.3227 0.1570 0.7493  2 H 0.99-1.00
36 O 0.3304 0.4511 0.6026  2 H 0.99-1.00
37 O 0.9500 0.8237 0.1422  2 H 0.99-1.01
38 O 0.5553 0.1117 0.3091  1 S 1.50
39 O 0.7722 0.1516 0.6026  2 H 0.99-1.00
40 O 0.2278 0.8484 0.3974  2 H 0.99-1.00
41 O 0.4447 0.8883 0.6909  1 S 1.50
42 O 0.0500 0.1763 0.8578  2 H 0.99-1.01
43 O 0.9266 0.5923 0.7493  2 H 0.99-1.00
44 O 0.7617 0.0675 0.8992  1 S 1.49, 1 H 1.63
45 O 0.9305 0.3648 0.4424  1 H 0.97
46 O 0.6696 0.5489 0.3974  2 H 0.99-1.00
47 O 0.3079 0.6815 0.8578  2 H 0.99-1.01
48 O 0.0734 0.4077 0.2507  2 H 0.99-1.00
49 O 0.6375 0.8317 0.8992  1 S 1.49, 1 H 1.63
50 O 0.0118 0.0776 0.4424  1 H 0.97
51 O 0.9882 0.9224 0.5576  1 H 0.97
52 O 0.1192 0.3692 0.7383  1 H 0.98
53 O 0.0695 0.6352 0.5576  1 H 0.97
54 O 0.2538 0.1974 0.3091  1 S 1.50
55 O 0.7462 0.8026 0.6909  1 S 1.50
56 O 0.2383 0.9325 0.1008  1 S 1.49, 1 H 1.63
57 Cl 0.3281 0.5781 0.1561  4 H 2.01-2.16
58 Cl 0.6719 0.4219 0.8439  4 H 2.01-2.16
59 Al 0.8898 0.4912 0.3436  6 O 1.87-1.96
60 Al 0.9539 0.8524 0.3436  6 O 1.87-1.96
61 Al 0.1102 0.5088 0.6564  6 O 1.87-1.96
62 Al 0.0461 0.1476 0.6564  6 O 1.87-1.96
63 S 0.6479 0.8979 0.7958  4 O 1.49-1.50
64 S 0.3521 0.1021 0.2042  4 O 1.49-1.50

=====

Calculated total energy: -2.79 -3.04 -6.06 -8.45 -6.50 -5.95 -6.04 -5.41 (eV per atom)